# 1
Compound: ReCl4
Source: the Materials Project database
Functional: PBE
Structure: optimized geometry

```
data_ReCl4
_space_group_name_H-M_alt 'P 1 2/c 1'
_space_group_IT_number 13
_cell_length_a 6.432
_cell_length_b 7.067
_cell_length_c 13.084
_cell_angle_alpha 90.00
_cell_angle_beta 93.46
_cell_angle_gamma 90.00
loop_
_space_group_symop_operation_xyz
'x,y,z'
'-x,-y,-z'
'-x,y,-z+1/2'
'x,-y,z+1/2'
loop_
_atom_site_label
_atom_site_type_symbol
_atom_site_fract_x
_atom_site_fract_y
_atom_site_fract_z
Re1 Re 0.184 0.232 0.309
Cl1 Cl 0.000 0.482 0.750
Cl2 Cl 0.130 0.104 0.136
Cl3 Cl 0.252 0.373 0.464
Cl4 Cl 0.357 0.037 0.859
Cl5 Cl 0.500 0.386 0.250
```

=====

# 2
Compound: BaMn2Ge2
Source: the Materials Project database
Functional: PBE
Structure: optimized geometry

```
data_BaMn2Ge2
_space_group_name_H-M_alt 'I 4/m m m'
_space_group_IT_number 139
_space_group_name_Hall '-I 4 2'
_cell_length_a 4.288
_cell_length_b 4.288
_cell_length_c 12.188
_cell_angle_alpha 90.00
_cell_angle_beta 90.00
_cell_angle_gamma 90.00
loop_
_atom_site_label
_atom_site_type_symbol
_atom_site_fract_x
_atom_site_fract_y
_atom_site_fract_z
Ba1 Ba 0.000 0.000 0.000
Mn1 Mn 0.000 0.500 0.250
Ge1 Ge 0.000 0.000 0.352
```

=====

# 3
Compound: LiAg2F4
Source: the Materials Project database
Functional: PBE
Structure: optimized geometry

```
data_LiAg2F4
_space_group_name_H-M_alt 'C c c e'
_space_group_IT_number 68
_cell_length_a 11.404
_cell_length_b 11.546
_cell_length_c 6.173
_cell_angle_alpha 90.00
_cell_angle_beta 90.00
_cell_angle_gamma 90.00
loop_
_space_group_symop_operation_xyz
'x,y,z'
'-x,-y,-z'
'-x+1/2,-y,z'
'x+1/2,y,-z'
'x+1/2,-y,-z+1/2'
'-x+1/2,y,z+1/2'
'-x,y,-z+1/2'
'x,-y,z+1/2'
'x+1/2,y+1/2,z'
'-x+1/2,-y+1/2,-z'
'-x,-y+1/2,z'
'x,y+1/2,-z'
'x,-y+1/2,-z+1/2'
'-x,y+1/2,z+1/2'
'-x+1/2,y+1/2,-z+1/2'
'x+1/2,-y+1/2,z+1/2'
loop_
_atom_site_label
_atom_site_type_symbol
_atom_site_fract_x
_atom_site_fract_y
_atom_site_fract_z
Li1 Li 0.250 0.000 0.029
Ag1 Ag 0.000 0.095 0.250
Ag2 Ag 0.169 0.250 0.750
F1 F 0.102 0.091 0.542
F2 F 0.162 0.141 0.067
```

=====

# 4
Compound: HfZnO3
Source: the Materials Project database
Functional: PBE
Structure: optimized geometry

```
data_HfZnO3
_space_group_name_H-M_alt 'P m -3 m'
_space_group_IT_number 221
_space_group_name_Hall '-P 4 2 3'
_cell_length_a 4.077
_cell_length_b 4.077
_cell_length_c 4.077
_cell_angle_alpha 90.00
_cell_angle_beta 90.00
_cell_angle_gamma 90.00
loop_
_atom_site_label
_atom_site_type_symbol
_atom_site_fract_x
_atom_site_fract_y
_atom_site_fract_z
Hf1 Hf 0.000 0.000 0.000
Zn1 Zn 0.500 0.500 0.500
O1 O 0.000 0.000 0.500
```

=====

# 5
Compound: Mg2Sn
Source: the Materials Project database
Functional: PBE
Structure: optimized geometry

```
data_Mg2Sn
_space_group_name_H-M_alt 'P 63/m m c'
_space_group_IT_number 194
_space_group_name_Hall '-P 6c 2c'
_cell_length_a 5.0584
_cell_length_b 5.0584
_cell_length_c 6.2739
_cell_angle_alpha 90.00
_cell_angle_beta 90.00
_cell_angle_gamma 120.00
loop_
_atom_site_label
_atom_site_type_symbol
_atom_site_fract_x
_atom_site_fract_y
_atom_site_fract_z
Mg1 Mg 0.0000 0.0000 0.0000
Mg2 Mg 0.3333 0.6667 0.2500
Sn1 Sn 0.3333 0.6667 0.7500
```

=====

# 6
Compound: Er2MgSe4
Source: the Materials Project database
Functional: PBE
Structure: optimized geometry

```
data_Er2MgSe4
_space_group_name_H-M_alt 'P c a 21'
_space_group_IT_number 29
_cell_length_a 13.167
_cell_length_b 7.854
_cell_length_c 13.405
_cell_angle_alpha 90.00
_cell_angle_beta 90.00
_cell_angle_gamma 90.00
loop_
_space_group_symop_operation_xyz
'x,y,z'
'-x,-y,z+1/2'
'-x+1/2,y,z+1/2'
'x+1/2,-y,z'
loop_
_atom_site_label
_atom_site_type_symbol
_atom_site_fract_x
_atom_site_fract_y
_atom_site_fract_z
Er1 Er 0.108 0.117 0.000
Er2 Er 0.127 0.618 0.640
Er3 Er 0.134 0.370 0.304
Er4 Er 0.134 0.870 0.305
Mg1 Mg 0.111 0.617 0.004
Mg2 Mg 0.126 0.121 0.634
Se1 Se 0.013 0.123 0.192
Se2 Se 0.022 0.625 0.184
Se3 Se 0.033 0.623 0.444
Se4 Se 0.043 0.125 0.449
Se5 Se 0.211 0.119 0.817
Se6 Se 0.213 0.620 0.832
Se7 Se 0.231 0.869 0.090
Se8 Se 0.232 0.366 0.092
```

=====

# 7
Compound: Mg6VH16
Source: the Materials Project database
Functional: PBE
Structure: optimized geometry

```
data_Mg6VH16
_space_group_name_H-M_alt 'F m -3 m'
_space_group_IT_number 225
_space_group_name_Hall '-F 4 2 3'
_cell_length_a 9.394
_cell_length_b 9.394
_cell_length_c 9.394
_cell_angle_alpha 90.00
_cell_angle_beta 90.00
_cell_angle_gamma 90.00
loop_
_atom_site_label
_atom_site_type_symbol
_atom_site_fract_x
_atom_site_fract_y
_atom_site_fract_z
Mg1 Mg 0.000 0.250 0.250
V1 V 0.000 0.000 0.000
H1 H 0.109 0.109 0.109
H2 H 0.144 0.144 0.356
```

=====

# 8
Compound: Na3CuO2
Source: the Materials Project database
Functional: PBE
Structure: optimized geometry

```
data_Na3CuO2
_space_group_name_H-M_alt 'I b a m'
_space_group_IT_number 72
_space_group_name_Hall '-I 2 2c'
_cell_length_a 5.341
_cell_length_b 10.571
_cell_length_c 6.015
_cell_angle_alpha 90.00
_cell_angle_beta 90.00
_cell_angle_gamma 90.00
loop_
_atom_site_label
_atom_site_type_symbol
_atom_site_fract_x
_atom_site_fract_y
_atom_site_fract_z
Na1 Na 0.000 0.000 0.250
Na2 Na 0.000 0.263 0.250
Cu1 Cu 0.000 0.500 0.000
O1 O 0.249 0.124 0.000
```

=====

# 9
Compound: ZnTe
Source: the Materials Project database
Functional: PBE
Structure: optimized geometry

Output
* largest piezoelectric modulus: 0.18 C/m2

```
data_ZnTe
_space_group_name_H-M_alt 'P 63 m c'
_space_group_IT_number 186
_space_group_name_Hall 'P 6c -2c'
_cell_length_a 4.3655
_cell_length_b 4.3655
_cell_length_c 7.1792
_cell_angle_alpha 90.00
_cell_angle_beta 90.00
_cell_angle_gamma 120.00
loop_
_atom_site_label
_atom_site_type_symbol
_atom_site_fract_x
_atom_site_fract_y
_atom_site_fract_z
Zn1 Zn 0.3333 0.6667 0.0000
Te1 Te 0.3333 0.6667 0.3740
```

=====

# 10
Compound: VIn3Se4
Source: the Materials Project database
Functional: PBE
Structure: optimized geometry

```
data_VIn3Se4
_space_group_name_H-M_alt 'I -4 3 m'
_space_group_IT_number 217
_space_group_name_Hall 'I -4 2 3'
_cell_length_a 7.728
_cell_length_b 7.728
_cell_length_c 7.728
_cell_angle_alpha 90.00
_cell_angle_beta 90.00
_cell_angle_gamma 90.00
loop_
_atom_site_label
_atom_site_type_symbol
_atom_site_fract_x
_atom_site_fract_y
_atom_site_fract_z
V1 V 0.000 0.000 0.000
In1 In 0.000 0.000 0.500
Se1 Se 0.172 0.172 0.828
```

=====

# 11
Compound: MnH30C6Se4N6
Source: the Materials Project database
Functional: PBE
Structure: optimized geometry

```
data_MnH30C6Se4N6
_space_group_name_H-M_alt 'C 1 2/c 1'
_space_group_IT_number 15
_cell_length_a 12.549
_cell_length_b 12.287
_cell_length_c 14.336
_cell_angle_alpha 90.00
_cell_angle_beta 105.97
_cell_angle_gamma 90.00
loop_
_space_group_symop_operation_xyz
'x,y,z'
'-x,-y,-z'
'-x,y,-z+1/2'
'x,-y,z+1/2'
'x+1/2,y+1/2,z'
'-x+1/2,-y+1/2,-z'
'-x+1/2,y+1/2,-z+1/2'
'x+1/2,-y+1/2,z+1/2'
loop_
_atom_site_label
_atom_site_type_symbol
_atom_site_fract_x
_atom_site_fract_y
_atom_site_fract_z
Mn1 Mn 0.000 0.165 0.250
H1 H 0.046 0.028 0.411
H2 H 0.050 0.395 0.153
H3 H 0.062 0.428 0.450
H4 H 0.065 0.047 0.825
H5 H 0.076 0.446 0.331
H6 H 0.082 0.243 0.438
H7 H 0.091 0.146 0.040
H8 H 0.142 0.275 0.088
H9 H 0.167 0.286 0.378
H10 H 0.173 0.069 0.199
H11 H 0.221 0.189 0.243
H12 H 0.230 0.016 0.973
H13 H 0.237 0.171 0.081
H14 H 0.239 0.110 0.416
H15 H 0.248 0.014 0.855
C1 C 0.041 0.393 0.376
C2 C 0.157 0.187 0.096
C3 C 0.207 0.027 0.403
Se1 Se 0.009 0.281 0.669
Se2 Se 0.144 0.158 0.639
N1 N 0.083 0.281 0.375
N2 N 0.086 0.027 0.358
N3 N 0.156 0.151 0.194
```

=====

# 12
Compound: NaAsO2
Source: the Materials Project database
Functional: PBE
Structure: optimized geometry

```
data_NaAsO2
_space_group_name_H-M_alt 'P b c a'
_space_group_IT_number 61
_cell_length_a 5.171
_cell_length_b 15.512
_cell_length_c 6.794
_cell_angle_alpha 90.00
_cell_angle_beta 90.00
_cell_angle_gamma 90.00
loop_
_space_group_symop_operation_xyz
'x,y,z'
'-x,-y,-z'
'-x+1/2,-y,z+1/2'
'x+1/2,y,-z+1/2'
'x+1/2,-y+1/2,-z'
'-x+1/2,y+1/2,z'
'-x,y+1/2,-z+1/2'
'x,-y+1/2,z+1/2'
loop_
_atom_site_label
_atom_site_type_symbol
_atom_site_fract_x
_atom_site_fract_y
_atom_site_fract_z
Na1 Na 0.246 0.198 0.098
As1 As 0.243 0.585 0.599
O1 O 0.070 0.130 0.813
O2 O 0.200 0.166 0.430
```

=====

| no. | calculated total energy (eV per atom) |
| --- | --- |
| 1 | -4.5556 |
| 2 | -6.1340 |
| 3 | -3.7205 |
| 4 | -7.2412 |
| 5 | -2.5075 |
| 6 | -5.1864 |
| 7 | -3.2397 |
| 8 | -4.1023 |
| 9 | -2.6694 |
| 10 | -4.3679 |
| 11 | -5.1008 |
| 12 | -5.4889 |